Compound: KNaMoWO6
Source: Materials Project
Functional: GGA+U
Structure: relaxed

Properties
Its total energy after the MP2020 corrections is -7.75 eV/atom. Its crystal system is tetragonal. The calculation puts the formation enthalpy at 0 K at -2.155 eV per atom. For the total magnetization, the calculation gives 6.000 Bohr magnetons per cell. As for the total energy: -6.571 eV per atom.

The structure in POSCAR format:
```
KNaMoWO6
1.0
8.027 0.000 0.000
0.000 8.027 0.000
0.000 0.000 7.980
O K Mo W Na
24 4 4 4 4
direct
0.249 0.500 0.506
0.500 0.500 0.762
0.243 0.500 0.995
0.500 0.500 0.236
0.000 0.000 0.245
0.500 0.757 0.995
0.751 0.500 0.506
0.000 0.254 0.995
0.238 0.000 0.505
0.500 0.249 0.506
0.000 0.500 0.757
0.500 0.000 0.757
0.757 0.500 0.995
0.000 0.500 0.240
0.000 0.000 0.756
0.762 0.000 0.505
0.000 0.746 0.995
0.500 0.243 0.995
0.254 0.000 0.995
0.000 0.762 0.505
0.500 0.751 0.506
0.500 0.000 0.240
0.000 0.238 0.505
0.746 0.000 0.995
0.253 0.747 0.254
0.253 0.253 0.254
0.747 0.747 0.254
0.747 0.253 0.254
0.500 0.500 0.504
0.000 0.500 0.502
0.500 0.500 0.998
0.500 0.000 0.502
0.000 0.500 0.997
0.500 0.000 0.997
0.000 0.000 0.000
0.000 0.000 0.505
0.747 0.253 0.746
0.747 0.747 0.746
0.253 0.747 0.746
0.253 0.253 0.746
```